# 1
Computed, not measured: a geometry-optimized NdZrO3 structure at the PBE-GGA level of DFT.

Properties
Uncorrected energy ... -8.67 eV per atom

abc: 6.1500 11.3167 8.2264
angles: 90.00 90.00 90.00
Sites, in units of the cell vectors:
Nd 0.2399 0.1431 0.0000
Nd 0.2417 0.6073 0.5000
Nd 0.2583 0.1073 0.5000
Nd 0.2601 0.6431 0.0000
Nd 0.7399 0.3569 0.0000
Nd 0.7417 0.8927 0.5000
Nd 0.7583 0.3927 0.5000
Nd 0.7601 0.8569 0.0000
Zr 0.2494 0.3751 0.2504
Zr 0.2494 0.3751 0.7496
Zr 0.2506 0.8751 0.2504
Zr 0.2506 0.8751 0.7496
Zr 0.7494 0.1249 0.2504
Zr 0.7494 0.1249 0.7496
Zr 0.7506 0.6249 0.2504
Zr 0.7506 0.6249 0.7496
O 0.0000 0.0000 0.3228
O 0.0000 0.0000 0.6772
O 0.0000 0.5000 0.3140
O 0.0000 0.5000 0.6860
O 0.0049 0.7463 0.1809
O 0.0049 0.7463 0.8191
O 0.2263 0.3145 0.5000
O 0.2406 0.9351 0.0000
O 0.2594 0.4351 0.0000
O 0.2737 0.8145 0.5000
O 0.4951 0.2463 0.1809
O 0.4951 0.2463 0.8191
O 0.5000 0.0000 0.3140
O 0.5000 0.0000 0.6860
O 0.5000 0.5000 0.3228
O 0.5000 0.5000 0.6772
O 0.5049 0.7537 0.1809
O 0.5049 0.7537 0.8191
O 0.7263 0.1855 0.5000
O 0.7406 0.5649 0.0000
O 0.7594 0.0649 0.0000
O 0.7737 0.6855 0.5000
O 0.9951 0.2537 0.1809
O 0.9951 0.2537 0.8191

# 2
Computed, not measured: a geometry-optimized Tb5Pb4 structure at the PBE-GGA level of DFT.

Properties
Uncorrected energy ... -4.77 eV per atom

abc: 8.2505 15.8159 8.3305
angles: 90.00 90.00 90.00
Sites, in units of the cell vectors:
Tb 0.0338 0.1003 0.1775
Tb 0.0338 0.3997 0.1775
Tb 0.1231 0.6199 0.3408
Tb 0.1231 0.8801 0.3408
Tb 0.2083 0.2500 0.5037
Tb 0.2917 0.7500 0.0037
Tb 0.3769 0.1199 0.8408
Tb 0.3769 0.3801 0.8408
Tb 0.4662 0.6003 0.6775
Tb 0.4662 0.8997 0.6775
Tb 0.5338 0.1003 0.3225
Tb 0.5338 0.3997 0.3225
Tb 0.6231 0.6199 0.1592
Tb 0.6231 0.8801 0.1592
Tb 0.7083 0.2500 0.9963
Tb 0.7917 0.7500 0.4963
Tb 0.8769 0.1199 0.6592
Tb 0.8769 0.3801 0.6592
Tb 0.9662 0.6003 0.8225
Tb 0.9662 0.8997 0.8225
Pb 0.0719 0.2500 0.8728
Pb 0.1562 0.7500 0.6503
Pb 0.2188 0.0425 0.5320
Pb 0.2188 0.4575 0.5320
Pb 0.2812 0.5425 0.0320
Pb 0.2812 0.9575 0.0320
Pb 0.3438 0.2500 0.1503
Pb 0.4281 0.7500 0.3728
Pb 0.5719 0.2500 0.6272
Pb 0.6562 0.7500 0.8497
Pb 0.7188 0.0425 0.9680
Pb 0.7188 0.4575 0.9680
Pb 0.7812 0.5425 0.4680
Pb 0.7812 0.9575 0.4680
Pb 0.8438 0.2500 0.3497
Pb 0.9281 0.7500 0.1272

# 3
Computed, not measured: a geometry-optimized HfO3F4 structure at the PBE-GGA level of DFT.

Properties
Offset from the most stable computed form ... 0.5424 eV per atom

abc: 6.7903 10.0310 7.0482
angles: 90.00 103.24 90.00
Sites, in units of the cell vectors:
Hf 0.2363 0.0345 0.4480
Hf 0.2363 0.4655 0.9480
Hf 0.7637 0.5345 0.0520
Hf 0.7637 0.9655 0.5520
O 0.2491 0.6652 0.4311
O 0.2491 0.8348 0.9311
O 0.2689 0.6543 0.7651
O 0.2689 0.8457 0.2651
O 0.3042 0.2445 0.9931
O 0.3042 0.2555 0.4931
O 0.6958 0.7445 0.5069
O 0.6958 0.7555 0.0069
O 0.7311 0.1543 0.7349
O 0.7311 0.3457 0.2349
O 0.7509 0.1652 0.0689
O 0.7509 0.3348 0.5689
F 0.0531 0.6136 0.0228
F 0.0531 0.8864 0.5228
F 0.1118 0.0851 0.1797
F 0.1118 0.4149 0.6797
F 0.3084 0.1047 0.7220
F 0.3084 0.3953 0.2220
F 0.4820 0.5942 0.1017
F 0.4820 0.9058 0.6017
F 0.5180 0.0942 0.3983
F 0.5180 0.4058 0.8983
F 0.6916 0.6047 0.7780
F 0.6916 0.8953 0.2780
F 0.8882 0.5851 0.3203
F 0.8882 0.9149 0.8203
F 0.9469 0.1136 0.4772
F 0.9469 0.3864 0.9772

# 4
Computed, not measured: a geometry-optimized BaNdSn2S6 structure at the PBE-GGA level of DFT.

Properties
Uncorrected energy ... -5.13 eV per atom

abc: 4.0488 20.2464 12.0819
angles: 90.00 90.00 90.00
Sites, in units of the cell vectors:
Ba 0.0000 0.0785 0.0000
Ba 0.0000 0.3619 0.4349
Ba 0.0000 0.6381 0.9349
Ba 0.0000 0.9215 0.5000
Nd 0.0000 0.1202 0.3655
Nd 0.0000 0.4189 0.0561
Nd 0.0000 0.5811 0.5561
Nd 0.0000 0.8798 0.8655
Sn 0.0000 0.2548 0.7839
Sn 0.0000 0.7452 0.2839
Sn 0.5000 0.0930 0.6758
Sn 0.5000 0.2481 0.1825
Sn 0.5000 0.4245 0.7299
Sn 0.5000 0.5755 0.2299
Sn 0.5000 0.7519 0.6825
Sn 0.5000 0.9070 0.1758
S 0.0000 0.0164 0.7419
S 0.0000 0.1671 0.6027
S 0.0000 0.2584 0.0604
S 0.0000 0.4930 0.7779
S 0.0000 0.5070 0.2779
S 0.0000 0.7416 0.5604
S 0.0000 0.8329 0.1027
S 0.0000 0.9836 0.2419
S 0.5000 0.0433 0.4784
S 0.5000 0.1210 0.1878
S 0.5000 0.1618 0.8508
S 0.5000 0.2304 0.3853
S 0.5000 0.3176 0.6340
S 0.5000 0.3629 0.9125
S 0.5000 0.3721 0.2172
S 0.5000 0.4771 0.5342
S 0.5000 0.5229 0.0342
S 0.5000 0.6279 0.7172
S 0.5000 0.6371 0.4125
S 0.5000 0.6824 0.1340
S 0.5000 0.7696 0.8853
S 0.5000 0.8382 0.3508
S 0.5000 0.8790 0.6878
S 0.5000 0.9567 0.9784

# 5
Computed, not measured: a geometry-optimized B2O3 structure at the PBE-GGA level of DFT.

Properties
Uncorrected energy ... -7.88 eV per atom

abc: 10.7455 11.3839 11.4428
angles: 85.89 87.68 88.29
Sites, in units of the cell vectors:
B 0.0000 0.0000 0.0000
B 0.0004 0.1653 0.3743
B 0.0282 0.5843 0.0928
B 0.0399 0.7128 0.4887
B 0.0507 0.0123 0.7733
B 0.0749 0.6265 0.2905
B 0.1319 0.4127 0.2601
B 0.1641 0.8466 0.6345
B 0.2083 0.4892 0.0418
B 0.2345 0.1457 0.7742
B 0.2819 0.2385 0.3150
B 0.2901 0.7491 0.5170
B 0.3085 0.3661 0.7109
B 0.3083 0.7755 0.2889
B 0.3826 0.9816 0.8130
B 0.3866 0.9501 0.5932
B 0.3967 0.0669 0.3922
B 0.4057 0.3906 0.9990
B 0.4168 0.5630 0.6202
B 0.4318 0.1341 0.1928
B 0.4875 0.7961 0.9050
B 0.4911 0.7018 0.0960
B 0.5167 0.2043 0.9938
B 0.5178 0.4851 0.1652
B 0.6413 0.8104 0.2055
B 0.6432 0.6167 0.5920
B 0.6499 0.7952 0.4313
B 0.6781 0.3513 0.2526
B 0.7159 0.8209 0.8611
B 0.7177 0.1965 0.5449
B 0.7199 0.0038 0.4480
B 0.7325 0.1576 0.8857
B 0.7591 0.1432 0.2667
B 0.8089 0.8542 0.0588
B 0.8218 0.9871 0.7785
B 0.8782 0.6122 0.6314
B 0.8799 0.3230 0.8584
B 0.9077 0.4269 0.1885
B 0.9255 0.4615 0.7850
B 0.9747 0.1150 0.1759
O 0.0012 0.3651 0.8263
O 0.0057 0.3679 0.2387
O 0.0363 0.0812 0.0772
O 0.0432 0.1160 0.2782
O 0.0462 0.6627 0.1775
O 0.0623 0.9873 0.8971
O 0.0665 0.7135 0.3735
O 0.0991 0.9001 0.7100
O 0.1147 0.5185 0.3298
O 0.1156 0.5683 0.0027
O 0.1316 0.1111 0.7297
O 0.1415 0.7536 0.5568
O 0.1952 0.3213 0.3352
O 0.2082 0.4389 0.1529
O 0.2698 0.2664 0.7429
O 0.2956 0.8560 0.5967
O 0.3031 0.7713 0.1824
O 0.3042 0.4592 0.9636
O 0.3137 0.1576 0.4104
O 0.3148 0.7864 0.4009
O 0.3175 0.0810 0.8424
O 0.3453 0.2234 0.2077
O 0.3445 0.4654 0.6688
O 0.3496 0.6498 0.5652
O 0.4051 0.8917 0.8935
O 0.4225 0.2815 0.9556
O 0.4243 0.9814 0.6953
O 0.4294 0.9903 0.4865
O 0.4520 0.0484 0.2844
O 0.4555 0.7022 0.9814
O 0.4942 0.6026 0.1732
O 0.4972 0.4250 0.0683
O 0.5042 0.1267 0.0919
O 0.5395 0.5547 0.6391
O 0.5535 0.8001 0.1235
O 0.5708 0.4204 0.2585
O 0.5956 0.7973 0.8352
O 0.6067 0.7982 0.3214
O 0.6263 0.6932 0.4983
O 0.6268 0.2063 0.9315
O 0.6703 0.2305 0.2825
O 0.6979 0.8883 0.4831
O 0.7017 0.3005 0.5636
O 0.7128 0.0810 0.5368
O 0.7269 0.0525 0.8352
O 0.7520 0.0385 0.3350
O 0.7539 0.5922 0.6437
O 0.7550 0.7963 0.9730
O 0.7626 0.8356 0.1732
O 0.7866 0.4013 0.2190
O 0.7962 0.8692 0.7741
O 0.8075 0.4263 0.8307
O 0.8457 0.2128 0.8909
O 0.8512 0.1518 0.1795
O 0.9018 0.9313 0.0402
O 0.9223 0.5189 0.1029
O 0.9273 0.0373 0.7353
O 0.9288 0.6853 0.5414
O 0.9511 0.1917 0.4681
O 0.9588 0.5534 0.7082

# 6
Computed, not measured: a geometry-optimized Nd12Ni6Sn structure at the PBE-GGA level of DFT.

Properties
Uncorrected energy ... -5.35 eV per atom

abc: 8.7167 8.7167 8.7167
angles: 109.47 109.47 109.47
Sites, in units of the cell vectors:
Nd 0.1217 0.3067 0.8149
Nd 0.1851 0.4918 0.3067
Nd 0.1851 0.8783 0.6933
Nd 0.3067 0.1851 0.4918
Nd 0.3067 0.8149 0.1217
Nd 0.4918 0.3067 0.1851
Nd 0.5082 0.6933 0.8149
Nd 0.6933 0.1851 0.8783
Nd 0.6933 0.8149 0.5082
Nd 0.8149 0.1217 0.3067
Nd 0.8149 0.5082 0.6933
Nd 0.8783 0.6933 0.1851
Ni 0.1221 0.5000 0.6221
Ni 0.3779 0.8779 0.5000
Ni 0.5000 0.3779 0.8779
Ni 0.5000 0.6221 0.1221
Ni 0.6221 0.1221 0.5000
Ni 0.8779 0.5000 0.3779
Sn 0.0000 0.0000 0.0000

# 7
Computed, not measured: a geometry-optimized CsUP2H2O8 structure at the PBE-GGA level of DFT.

Properties
Uncorrected energy ... -6.95 eV per atom

abc: 8.5384 10.8073 10.9064
angles: 85.63 84.46 88.56
Sites, in units of the cell vectors:
Cs 0.1529 0.2688 0.0649
Cs 0.3330 0.2255 0.5817
Cs 0.6670 0.7745 0.4183
Cs 0.8471 0.7312 0.9351
U 0.1959 0.8683 0.3014
U 0.3277 0.6413 0.8056
U 0.6723 0.3587 0.1944
U 0.8041 0.1317 0.6986
P 0.1004 0.8769 0.6313
P 0.2339 0.5745 0.4955
P 0.2733 0.9393 0.9585
P 0.3986 0.6294 0.1273
P 0.6014 0.3706 0.8727
P 0.7267 0.0607 0.0415
P 0.7661 0.4255 0.5045
P 0.8996 0.1231 0.3687
H 0.0707 0.5945 0.5186
H 0.2423 0.5883 0.1370
H 0.2463 0.9375 0.6187
H 0.4381 0.9372 0.9347
H 0.5619 0.0628 0.0653
H 0.7537 0.0625 0.3813
H 0.7577 0.4117 0.8630
H 0.9293 0.4055 0.4814
O 0.0244 0.0406 0.3027
O 0.0497 0.7659 0.2560
O 0.0586 0.8547 0.5003
O 0.1241 0.7530 0.7076
O 0.1773 0.5439 0.8922
O 0.2030 0.0445 0.8786
O 0.2149 0.8122 0.9260
O 0.2364 0.9594 0.0967
O 0.2677 0.4658 0.4150
O 0.2994 0.5478 0.6218
O 0.3036 0.6953 0.4286
O 0.3455 0.9615 0.3560
O 0.3979 0.7512 0.1920
O 0.4550 0.6537 0.9886
O 0.4728 0.7451 0.7248
O 0.4999 0.4717 0.8116
O 0.5001 0.5283 0.1884
O 0.5272 0.2549 0.2752
O 0.5450 0.3463 0.0114
O 0.6021 0.2488 0.8080
O 0.6545 0.0385 0.6440
O 0.6964 0.3047 0.5714
O 0.7006 0.4522 0.3782
O 0.7323 0.5342 0.5850
O 0.7636 0.0406 0.9033
O 0.7851 0.1878 0.0740
O 0.7970 0.9555 0.1214
O 0.8227 0.4561 0.1078
O 0.8759 0.2470 0.2924
O 0.9414 0.1453 0.4997
O 0.9503 0.2341 0.7440
O 0.9756 0.9594 0.6973

# 8
Computed, not measured: a geometry-optimized Ba3SrMgNb2O9 structure at the PBE-GGA level of DFT.

Properties
Offset from the most stable computed form ... 0.0000 eV per atom

abc: 5.9482 5.9482 9.7293
angles: 90.00 90.00 120.00
Sites, in units of the cell vectors:
Ba 0.0000 0.0000 0.0000
Ba 0.3333 0.6667 0.4577
Ba 0.6667 0.3333 0.2462
Sr 0.6667 0.3333 0.8121
Mg 0.0000 0.0000 0.6209
Nb 0.0000 0.0000 0.3487
Nb 0.3333 0.6667 0.0790
O 0.0092 0.5046 0.9838
O 0.1681 0.3361 0.2249
O 0.1681 0.8319 0.2249
O 0.3042 0.1521 0.4717
O 0.4954 0.5046 0.9838
O 0.4954 0.9908 0.9838
O 0.6639 0.8319 0.2249
O 0.8479 0.1521 0.4717
O 0.8479 0.6958 0.4717